No. 1
## Li2VO3F (PBE+U)

Data for a geometry-optimized Li2VO3F structure.

abc: 7.2292 7.1461 7.1497
angles: 109.33 108.79 110.50
Last column: nearest neighbours and their distance in Å.
Positions (direct):
Li1 0.9905 0.2552 0.5030  6 O 2.03-2.23
Li2 0.2551 0.7473 0.7553  4 O 2.04-2.28, 2 F 2.05-2.10
Li3 0.7102 0.2349 0.7027  1 F 1.96, 4 O 2.09-2.17
Li4 0.4769 0.7623 0.4735  4 O 2.02-2.19, 1 F 2.05
Li5 0.0087 0.5405 0.2739  2 F 1.89-1.99, 2 O 2.07-2.10
Li6 0.7312 0.7373 0.2457  2 F 2.01-2.24, 4 O 2.08-2.23
Li7 0.4825 0.4804 0.7509  2 F 1.98-1.99, 3 O 2.06-2.15
Li8 0.5106 0.2447 0.0043  6 O 2.06-2.19
F1 0.2163 0.7550 0.2378  2 Li 1.89-2.05, 1 V 2.00
F2 0.0101 0.7654 0.5294  1 V 1.96, 2 Li 1.99-2.05
F3 0.4680 0.2454 0.4904  1 V 1.90, 2 Li 1.96-1.99
F4 0.5246 0.7540 0.9924  1 V 1.97, 3 Li 1.98-2.10
O1 0.2375 0.2335 0.7618  1 V 1.68
O2 0.9842 0.9972 0.2160  2 V 1.93-2.16
O3 0.2459 0.4721 0.4698  1 V 1.76
O4 0.7846 0.9942 0.5375  1 V 1.74
O5 0.7700 0.2408 0.2295  1 V 1.69
O6 0.0085 0.2268 0.0033  3 V 1.95-2.02
O7 0.4740 0.4668 0.2441  1 V 1.69
O8 0.5409 0.9889 0.7786  1 V 1.76
O9 0.7643 0.5167 0.9959  1 V 1.78
O10 0.9999 0.5236 0.7704  1 V 1.70
O11 0.7809 0.7660 0.7789  1 V 1.84
O12 0.2192 0.0005 0.9991  3 V 2.03-2.09, 2 Li 2.19-2.22
V1 0.7551 0.0271 0.0186  2 O 1.69-1.76
V2 0.9709 0.7097 0.9644  3 O 1.70-1.84
V3 0.0195 0.0270 0.7470  2 O 1.68-1.74
V4 0.2744 0.2794 0.2674  2 O 1.69-1.76

The size of the total moment is 0.00 μB/f.u. As for the space-group type: P1. The calculation puts the total energy at -172.74 eV for the cell shown.

=====

No. 2
## Li7Co5O12 (PBE+U)

Data for a geometry-optimized Li7Co5O12 structure.

abc: 2.9895 7.5248 9.7327
angles: 90.94 97.72 100.32
Last column: nearest neighbours and their distance in Å.
Positions (direct):
O1 0.7198 0.0402 0.3824  3 Co 1.95-2.09, 2 Li 2.10-2.13
O2 0.0491 0.7073 0.3848  3 Co 1.93-2.08, 2 Li 2.11-2.13
O3 0.8166 0.4687 0.1082  2 Co 1.88-2.00
O4 0.1834 0.5313 0.8918  2 Co 1.88-2.00
O5 0.5092 0.2175 0.8846  2 Co 1.89-2.09, 3 Li 1.98-2.10
O6 0.4908 0.7825 0.1154  2 Co 1.89-2.09, 3 Li 1.98-2.10
O7 0.6081 0.6256 0.6167  3 Co 1.94-2.07, 2 Li 2.08-2.10
O8 0.1303 0.1529 0.1150  1 Co 1.73
O9 0.8697 0.8471 0.8850  1 Co 1.73
O10 0.2802 0.9598 0.6176  3 Co 1.95-2.09, 2 Li 2.10-2.13
O11 0.3919 0.3744 0.3833  3 Co 1.94-2.07, 2 Li 2.08-2.10
O12 0.9509 0.2927 0.6152  3 Co 1.93-2.08, 2 Li 2.11-2.13
Co1 0.8494 0.6768 0.0026  3 O 1.73-1.89
Co2 0.6647 0.8335 0.5007  6 O 1.94-2.09
Co3 0.0000 0.5000 0.5000  6 O 1.93-2.07
Co4 0.1506 0.3232 0.9974  3 O 1.73-1.89
Co5 0.3353 0.1665 0.4993  6 O 1.94-2.09
Li1 0.0784 0.9176 0.2431  6 O 2.10-2.23
Li2 0.2521 0.7456 0.7530  6 O 2.05-2.22
Li3 0.4187 0.5856 0.2484  6 O 1.98-2.20
Li4 0.5813 0.4144 0.7516  6 O 1.98-2.20
Li5 0.5000 0.0000 0.0000  6 O 2.00-2.18
Li6 0.7479 0.2544 0.2470  6 O 2.05-2.22
Li7 0.9216 0.0824 0.7569  6 O 2.10-2.23

The size of the total moment is 3.21 μB/f.u. As for the space-group type: P-1. The calculation puts the total energy at -131.86 eV for the cell shown.

=====

No. 3
## KFeBP2HO9 (PBE+U)

Data for a geometry-optimized KFeBP2HO9 structure.

abc: 5.1697 8.1100 8.3503
angles: 85.89 80.84 86.20
Last column: nearest neighbours and their distance in Å.
Positions (direct):
O1 0.9304 0.8568 0.6619  1 B 1.46, 1 P 1.58
O2 0.1305 0.6812 0.4644  1 B 1.47, 1 P 1.57
O3 0.0305 0.4030 0.7925  1 P 1.54
O4 0.4983 0.9964 0.7899  1 P 1.55
O5 0.2938 0.1894 0.5657  1 H 0.98
O6 0.5017 0.0036 0.2101  1 P 1.55
O7 0.2357 0.2023 0.0447  1 P 1.55
O8 0.7643 0.7977 0.9553  1 P 1.55
O9 0.2711 0.4007 0.3514  1 B 1.49, 1 P 1.57
O10 0.7289 0.5993 0.6486  1 B 1.49, 1 P 1.57
O11 0.7062 0.8106 0.4343  1 H 0.98
O12 0.9695 0.5970 0.2075  1 P 1.54
O13 0.5479 0.3508 0.7966  1 P 1.52
O14 0.0696 0.1432 0.3381  1 B 1.46, 1 P 1.58
O15 0.0610 0.9188 0.1513  1 P 1.52
O16 0.9390 0.0812 0.8487  1 P 1.52
O17 0.8695 0.3188 0.5356  1 B 1.47, 1 P 1.57
O18 0.4521 0.6492 0.2034  1 P 1.52
B1 0.1264 0.2640 0.4472  4 O 1.46-1.49
B2 0.8736 0.7360 0.5528  4 O 1.46-1.49
H1 0.5213 0.8271 0.4803  1 O 0.98
H2 0.4787 0.1729 0.5197  1 O 0.98
P1 0.7984 0.4129 0.6960  4 O 1.52-1.57
P2 0.2204 0.0613 0.1816  4 O 1.52-1.58
P3 0.7796 0.9387 0.8184  4 O 1.52-1.58
P4 0.2016 0.5871 0.3040  4 O 1.52-1.57
Fe1 0.2638 0.1960 0.8073  6 O 1.94-2.01
Fe2 0.7362 0.8040 0.1927  6 O 1.94-2.01
K1 0.2788 0.6722 0.8881  9 O 2.77-3.06
K2 0.7212 0.3278 0.1119  9 O 2.77-3.06

The size of the total moment is 5.00 μB/f.u. As for the space-group type: P-1. The calculation puts the total energy at -206.76 eV for the cell shown.

=====

No. 4
## LiNiP4O12 (PBE+U)

Data for a geometry-optimized LiNiP4O12 structure.

abc: 7.4745 7.4745 18.2446
angles: 90.00 90.00 100.64
Last column: nearest neighbours and their distance in Å.
Positions (direct):
O1 0.3870 0.4684 0.8088  2 P 1.61-1.62
O2 0.1144 0.6667 0.5611  1 P 1.50
O3 0.0470 0.8424 0.1492  1 P 1.51
O4 0.5316 0.6130 0.6912  2 P 1.61-1.62
O5 0.0581 0.6512 0.2836  1 P 1.50
O6 0.1042 0.6713 0.0157  1 P 1.50
O7 0.5637 0.3585 0.5187  2 P 1.60-1.62
O8 0.0857 0.6544 0.4222  2 P 1.60-1.63
O9 0.9419 0.3488 0.7836  1 P 1.50
O10 0.1949 0.4954 0.1466  1 P 1.50
O11 0.6966 0.7546 0.9310  1 P 1.51
O12 0.6713 0.1042 0.9843  1 P 1.50
O13 0.7546 0.6966 0.0690  1 P 1.51
O14 0.6667 0.1144 0.4389  1 P 1.50
O15 0.8958 0.3287 0.5157  1 P 1.50
O16 0.9530 0.1576 0.6492  1 P 1.51
O17 0.3333 0.8856 0.9389  1 P 1.50
O18 0.1576 0.9530 0.3508  1 P 1.51
O19 0.3456 0.9143 0.0778  2 P 1.60-1.63
O20 0.7069 0.8308 0.2374  1 P 1.49
O21 0.8308 0.7069 0.7626  1 P 1.49
O22 0.2454 0.3034 0.5690  1 P 1.51
O23 0.8856 0.3333 0.0611  1 P 1.50
O24 0.5828 0.1998 0.2933  1 P 1.51
O25 0.3585 0.5637 0.4813  2 P 1.60-1.62
O26 0.4684 0.3870 0.1912  2 P 1.61-1.62
O27 0.4172 0.8002 0.7933  1 P 1.51
O28 0.2141 0.1640 0.1350  2 P 1.61-1.64
O29 0.1998 0.5828 0.7067  1 P 1.51
O30 0.8051 0.5046 0.6466  1 P 1.50
O31 0.7859 0.8360 0.6350  2 P 1.61-1.64
O32 0.3034 0.2454 0.4310  1 P 1.51
O33 0.5046 0.8051 0.3534  1 P 1.50
O34 0.8424 0.0470 0.8508  1 P 1.51
O35 0.8002 0.4172 0.2067  1 P 1.51
O36 0.2931 0.1692 0.7374  1 P 1.49
O37 0.1692 0.2931 0.2626  1 P 1.49
O38 0.4954 0.1949 0.8534  1 P 1.50
O39 0.3287 0.8958 0.4843  1 P 1.50
O40 0.6415 0.4363 0.9813  2 P 1.60-1.62
O41 0.9143 0.3456 0.9222  2 P 1.60-1.63
O42 0.6512 0.0581 0.7164  1 P 1.50
O43 0.1640 0.2141 0.8650  2 P 1.61-1.64
O44 0.8360 0.7859 0.3650  2 P 1.61-1.64
O45 0.4363 0.6415 0.0187  2 P 1.60-1.62
O46 0.6130 0.5316 0.3088  2 P 1.61-1.62
O47 0.3488 0.9419 0.2164  1 P 1.50
O48 0.6544 0.0857 0.5778  2 P 1.60-1.63
P1 0.2226 0.7065 0.4919  4 O 1.50-1.63
P2 0.7774 0.2935 0.9919  4 O 1.50-1.63
P3 0.2486 0.3421 0.1889  4 O 1.49-1.64
P4 0.6461 0.6461 0.0000  4 O 1.51-1.60
P5 0.3539 0.3539 0.5000  4 O 1.51-1.60
P6 0.7514 0.6579 0.6889  4 O 1.49-1.64
P7 0.7635 0.0430 0.6494  4 O 1.50-1.61
P8 0.2365 0.9570 0.1494  4 O 1.50-1.61
P9 0.9570 0.2365 0.8506  4 O 1.50-1.61
P10 0.6579 0.7514 0.3111  4 O 1.49-1.64
P11 0.3421 0.2486 0.8111  4 O 1.49-1.64
P12 0.0430 0.7635 0.3506  4 O 1.50-1.61
P13 0.2935 0.7774 0.0081  4 O 1.50-1.63
P14 0.3740 0.6260 0.7500  4 O 1.51-1.61
P15 0.6260 0.3740 0.2500  4 O 1.51-1.61
P16 0.7065 0.2226 0.5081  4 O 1.50-1.63
Ni1 0.5723 0.9676 0.8892  5 O 2.00-2.13
Ni2 0.9676 0.5723 0.1108  5 O 2.00-2.13
Ni3 0.0324 0.4277 0.6108  5 O 2.00-2.13
Ni4 0.4277 0.0324 0.3892  5 O 2.00-2.13
Li1 0.2049 0.1112 0.6442  3 O 1.85-1.98
Li2 0.7951 0.8888 0.1442  3 O 1.85-1.98
Li3 0.8888 0.7951 0.8558  3 O 1.85-1.98
Li4 0.1112 0.2049 0.3558  3 O 1.85-1.98

The size of the total moment is 2.93 μB/f.u. As for the space-group type: C222_1. The calculation puts the total energy at -480.56 eV for the cell shown.

=====

No. 5
## Li4Cr3NiO8 (PBE+U)

Data for a geometry-optimized Li4Cr3NiO8 structure.

abc: 5.1264 5.8907 10.6223
angles: 105.96 85.46 73.09
Last column: nearest neighbours and their distance in Å.
Positions (direct):
O1 0.2672 0.8272 0.8065  2 Cr 1.98-2.02, 3 Li 2.08-2.15, 1 Ni 2.10
O2 0.7228 0.9075 0.6856  1 Cr 1.95, 2 Ni 2.01-2.05, 2 Li 2.12-2.16
O3 0.7330 0.4228 0.6935  2 Cr 1.98-2.02, 3 Li 2.08-2.15, 1 Ni 2.10
O4 0.2756 0.7106 0.0589  3 Cr 2.02-2.03, 3 Li 2.17-2.18
O5 0.7328 0.2959 0.9421  2 Cr 2.00-2.01, 3 Li 2.08-2.16, 1 Ni 2.09
O6 0.7303 0.0320 0.4344  2 Cr 1.99-2.01, 1 Ni 2.07, 3 Li 2.10-2.18
O7 0.2789 0.5860 0.3100  3 Cr 2.02-2.03, 3 Li 2.16-2.19
O8 0.7207 0.7848 0.9393  2 Cr 2.01, 1 Ni 2.02, 3 Li 2.17-2.20
O9 0.7209 0.6641 0.1900  3 Cr 2.02-2.03, 3 Li 2.16-2.19
O10 0.2757 0.0872 0.3106  3 Cr 2.01-2.03, 3 Li 2.15-2.20
O11 0.2695 0.2180 0.0657  2 Cr 1.99-2.01, 1 Ni 2.07, 3 Li 2.10-2.17
O12 0.7242 0.1628 0.1893  3 Cr 2.01-2.03, 3 Li 2.15-2.20
O13 0.7244 0.5394 0.4411  3 Cr 2.02-2.03, 3 Li 2.17-2.18
O14 0.2773 0.3424 0.8143  1 Cr 1.96, 2 Ni 2.01-2.05, 2 Li 2.12-2.16
O15 0.2672 0.9540 0.5579  2 Cr 2.00-2.01, 3 Li 2.08-2.16, 1 Ni 2.09
O16 0.2794 0.4652 0.5608  2 Cr 2.01, 1 Ni 2.02, 3 Li 2.17-2.20
Cr1 0.5010 0.5572 0.8724  6 O 1.96-2.03
Cr2 0.4994 0.8149 0.3767  6 O 1.99-2.03
Cr3 0.4992 0.6927 0.6276  6 O 1.95-2.03
Cr4 0.4989 0.9381 0.1238  6 O 2.01-2.03
Cr5 0.5011 0.3119 0.3762  6 O 2.01-2.03
Cr6 0.5005 0.4351 0.1232  6 O 1.99-2.03
Li1 0.0000 0.1250 0.7499  6 O 2.15-2.20
Li2 0.0000 0.6250 0.7499  6 O 2.08-2.17
Li3 0.9994 0.2479 0.5043  6 O 2.12-2.20
Li4 0.9962 0.7567 0.5008  6 O 2.08-2.19
Li5 0.9994 0.8753 0.2502  6 O 2.10-2.18
Li6 0.0005 0.3749 0.2500  6 O 2.10-2.18
Li7 0.0040 0.4932 0.9992  6 O 2.08-2.19
Li8 0.0006 0.0022 0.9957  6 O 2.12-2.20
Ni1 0.5009 0.1875 0.6248  6 O 2.01-2.10
Ni2 0.4992 0.0624 0.8752  6 O 2.01-2.10

The size of the total moment is 10.00 μB/f.u. As for the space-group type: P-1. The calculation puts the total energy at -205.59 eV for the cell shown.

=====

No. 6
## K2Gd2MgMo4O16 (PBE+U)

Data for a geometry-optimized K2Gd2MgMo4O16 structure.

abc: 8.0092 7.5132 8.0534
angles: 112.96 124.25 93.05
Last column: nearest neighbours and their distance in Å.
Positions (direct):
Mo1 0.5211 0.7127 0.2015  4 O 1.80-2.01
Mo2 0.9954 0.6841 0.6928  4 O 1.85-2.00
Mo3 0.4884 0.3084 0.7993  3 O 1.81-2.02
Mo4 0.9836 0.2966 0.2974  4 O 1.80-1.96
K1 0.4478 0.2671 0.3230  4 O 2.63-2.93, 1 Mg 2.91
K2 0.5794 0.7672 0.7205  6 O 2.76-3.03, 1 Mg 3.03
O1 0.3446 0.7420 0.2770  1 Mo 1.82
O2 0.6481 0.2496 0.7066  1 Mo 1.81
O3 0.0576 0.6356 0.4788  1 Mo 1.96
O4 0.0788 0.9871 0.8281  1 Mo 1.97, 1 Mg 2.02
O5 0.9289 0.3544 0.5173  2 Mo 1.95-2.17
O6 0.2740 0.0261 0.6101  1 Mg 1.96, 1 Mo 1.98
O7 0.9533 0.0272 0.1790  1 Mo 1.80
O8 0.3380 0.3926 0.9538  2 Mo 2.12-2.13, 1 Gd 2.32
O9 0.6569 0.2128 0.0486  1 Mg 2.05, 2 Mo 2.05-2.13
O10 0.7284 0.9660 0.3952  1 Mo 1.80
O11 0.0374 0.3767 0.1348  1 Mo 1.87
O12 0.6884 0.6308 0.4357  2 Mo 1.97-2.00
O13 0.3395 0.7825 0.9513  2 Mo 2.01-2.15, 1 Mg 2.02
O14 0.9434 0.6207 0.8632  1 Mo 1.85
O15 0.2920 0.3777 0.5523  2 Mo 1.96-2.02
O16 0.6690 0.6149 0.0508  2 Mo 2.05-2.10
Gd1 0.9754 0.2502 0.7712  6 O 2.29-2.42
Gd2 0.0356 0.7507 0.2445  6 O 2.26-2.44
Mg1 0.3609 0.0111 0.8837  4 O 1.96-2.05

The size of the total moment is 14.00 μB/f.u. As for the space-group type: P1. The calculation puts the total energy at -192.64 eV for the cell shown.

=====

No. 7
## Mn12O7F17 (PBE+U)

Data for a geometry-optimized Mn12O7F17 structure.

abc: 4.7812 5.7246 16.0025
angles: 90.09 90.30 92.54
Last column: nearest neighbours and their distance in Å.
Positions (direct):
Mn1 0.4925 0.3467 0.5810  3 O 1.97-2.03, 3 F 2.13-2.14
Mn2 0.0475 0.8288 0.2435  2 O 1.99-2.04, 3 F 2.09-2.17
Mn3 0.4865 0.3450 0.2449  2 O 1.93-2.00, 4 F 2.08-2.14
Mn4 0.5068 0.6502 0.0799  2 O 1.98-2.00, 4 F 2.01-2.10
Mn5 0.0191 0.8239 0.5814  3 O 1.97-2.01, 2 F 2.11-2.15
Mn6 0.0134 0.1599 0.0908  1 O 1.98, 5 F 2.03-2.17
Mn7 0.5248 0.6664 0.7386  5 F 2.05-2.29, 1 O 2.05
Mn8 0.0198 0.1672 0.4250  1 O 2.05, 5 F 2.05-2.29
Mn9 0.0129 0.1633 0.7588  5 F 2.01-2.22, 1 O 2.05
Mn10 0.4792 0.6629 0.4232  1 O 1.98, 4 F 2.01-2.12
Mn11 0.9940 0.8449 0.9208  2 O 2.01-2.03, 4 F 2.05-2.19
Mn12 0.4899 0.3503 0.9159  2 O 1.96-2.02, 4 F 2.04-2.16
F1 0.7674 0.8821 0.1390  3 Mn 2.01-2.17
F2 0.7176 0.3853 0.8087  3 Mn 2.04-2.20
F3 0.7197 0.3860 0.4667  3 Mn 2.06-2.14
F4 0.2293 0.8930 0.3607  3 Mn 2.07-2.16
F5 0.2173 0.8876 0.6975  3 Mn 2.09-2.13
F6 0.7332 0.6161 0.3038  3 Mn 2.12-2.29
F7 0.7641 0.8883 0.8130  3 Mn 2.05-2.12
F8 0.2557 0.6131 0.8557  3 Mn 2.14-2.29
F9 0.2223 0.8787 0.0289  3 Mn 2.05-2.17
F10 0.7588 0.1110 0.6434  3 Mn 2.14-2.33
F11 0.7441 0.3928 0.1365  3 Mn 2.03-2.14
F12 0.2649 0.3845 0.0233  3 Mn 2.04-2.07
F13 0.2696 0.3852 0.6944  3 Mn 2.01-2.13
F14 0.7604 0.1187 0.9809  3 Mn 2.14-2.19
F15 0.7678 0.8899 0.4731  3 Mn 2.01-2.15
F16 0.7594 0.1266 0.3048  2 Mn 2.08-2.29
F17 0.2621 0.4000 0.3560  3 Mn 2.05-2.11
O1 0.2206 0.1157 0.8695  3 Mn 1.96-2.05
O2 0.2996 0.6022 0.1854  3 Mn 1.98-2.04
O3 0.7100 0.6182 0.9716  3 Mn 2.00-2.02
O4 0.7363 0.6045 0.6299  3 Mn 1.97-2.05
O5 0.2338 0.1030 0.5335  3 Mn 1.97-2.05
O6 0.2637 0.5954 0.5263  3 Mn 1.98-2.03
O7 0.2357 0.1126 0.1937  3 Mn 1.93-1.99

The size of the total moment is 53.00 μB/f.u. As for the space-group type: P1. The calculation puts the total energy at -235.89 eV for the cell shown.

=====

No. 8
## Li2Cr3FeO8 (PBE+U)

Data for a geometry-optimized Li2Cr3FeO8 structure.

abc: 5.8765 5.8796 9.5350
angles: 89.17 90.42 120.02
Last column: nearest neighbours and their distance in Å.
Positions (direct):
O1 0.1638 0.8384 0.6065  1 Li 1.95, 2 Cr 1.97-1.98, 1 Fe 2.10
O2 0.0013 0.9969 0.8126  1 Li 1.76, 2 Cr 1.96
O3 0.1725 0.3245 0.6034  2 Cr 1.92-2.05, 1 Li 1.95, 1 Fe 2.04
O4 0.8362 0.6746 0.1065  1 Li 1.95, 2 Cr 1.97-1.98, 1 Fe 2.10
O5 0.4898 0.5280 0.3351  2 Cr 1.93-2.00, 1 Li 1.96, 1 Fe 2.09
O6 0.5173 0.4803 0.8321  2 Cr 1.97, 1 Li 2.00, 1 Fe 2.11
O7 0.8275 0.1520 0.1034  2 Cr 1.92-2.05, 1 Li 1.95, 1 Fe 2.04
O8 0.6652 0.3368 0.6035  3 Cr 1.96-1.98, 1 Li 1.99
O9 0.9597 0.4871 0.8357  2 Cr 1.94-2.00, 1 Li 1.98, 1 Fe 2.10
O10 0.3348 0.6716 0.1035  3 Cr 1.96-1.98, 1 Li 1.99
O11 0.6754 0.8285 0.6045  2 Cr 1.92-2.05, 1 Li 1.94, 1 Fe 2.05
O12 0.0403 0.5274 0.3357  2 Cr 1.94-2.00, 1 Li 1.98, 1 Fe 2.10
O13 0.5102 0.0382 0.8351  2 Cr 1.93-2.00, 1 Li 1.96, 1 Fe 2.09
O14 0.3246 0.1531 0.1045  2 Cr 1.92-2.05, 1 Li 1.94, 1 Fe 2.05
O15 0.9987 0.9956 0.3126  1 Li 1.76, 2 Cr 1.96
O16 0.4827 0.9630 0.3321  2 Cr 1.97, 1 Li 2.00, 1 Fe 2.11
Cr1 0.1702 0.3401 0.2151  6 O 1.97-2.05
Cr2 0.6624 0.8319 0.2125  6 O 1.92-1.98
Cr3 0.8310 0.6629 0.7125  6 O 1.92-1.97
Cr4 0.3376 0.1695 0.7125  6 O 1.92-1.98
Cr5 0.1690 0.8319 0.2125  6 O 1.92-1.97
Cr6 0.8298 0.1699 0.7151  6 O 1.97-2.05
Fe1 0.3365 0.6648 0.4884  6 O 2.04-2.11
Fe2 0.6635 0.3283 0.9884  6 O 2.04-2.11
Li1 0.3318 0.6683 0.8950  4 O 1.96-2.00
Li2 0.9996 0.9999 0.4972  4 O 1.76-1.95
Li3 0.6682 0.3364 0.3950  4 O 1.96-2.00
Li4 0.0004 0.0003 0.9972  4 O 1.76-1.95

The size of the total moment is 12.00 μB/f.u. As for the space-group type: Cc. The calculation puts the total energy at -193.22 eV for the cell shown.

=====

Number 1: DFT formation energy -2.54 eV per atom. Number 2: DFT formation energy -1.67 eV per atom. Number 3: DFT formation energy -2.45 eV per atom. Number 4: DFT formation energy -2.34 eV per atom. Number 5: DFT formation energy -2.18 eV per atom. Number 6: DFT formation energy -2.48 eV per atom. Number 7: DFT formation energy -2.54 eV per atom. Number 8: DFT formation energy -2.11 eV per atom.